# 1
Here is a relaxed Mg2Cu2CO11 crystal from Materials Project. Energies are from PBE-GGA.

Computed properties:
total energy: -5.569 eV/atom
energy relative to the lowest polymorph listed for this composition: 0 meV per atom
energy with MP2020 corrections: -181.757 eV per cell
calculated density: 2.9 g/cm3

abc: 7.687 7.687 7.151
angles: 92.97 92.97 91.66
Sites, in units of the cell vectors:
Mg  0.017  0.320  0.292
Mg  0.320  0.017  0.792
Mg  0.680  0.983  0.208
Mg  0.983  0.680  0.708
Cu  0.288  0.601  0.461
Cu  0.399  0.712  0.039
Cu  0.601  0.288  0.961
Cu  0.712  0.399  0.539
C  0.068  0.932  0.250
C  0.932  0.068  0.750
O  0.084  0.472  0.549
O  0.096  0.116  0.768
O  0.116  0.096  0.268
O  0.185  0.815  0.250
O  0.222  0.723  0.842
O  0.238  0.463  0.234
O  0.277  0.778  0.658
O  0.346  0.477  0.092
O  0.463  0.238  0.734
O  0.472  0.084  0.049
O  0.477  0.346  0.592
O  0.523  0.654  0.408
O  0.528  0.916  0.951
O  0.537  0.762  0.266
O  0.654  0.523  0.908
O  0.723  0.222  0.342
O  0.762  0.537  0.766
O  0.778  0.277  0.158
O  0.815  0.185  0.750
O  0.884  0.904  0.732
O  0.904  0.884  0.232
O  0.916  0.528  0.451



# 2
Here is a relaxed UCrS3 crystal from Materials Project. Energies are from PBE-GGA.

Computed properties:
total energy: -7.751 eV/atom
energy with MP2020 corrections: -161.055 eV per cell
calculated density: 6.7 g/cm3

abc: 7.069 8.868 6.103
angles: 90.00 90.00 90.00
Sites, in units of the cell vectors:
U  0.119  0.250  0.057
U  0.381  0.750  0.557
U  0.619  0.250  0.443
U  0.881  0.750  0.943
Cr  0.000  0.000  0.500
Cr  0.000  0.500  0.500
Cr  0.500  0.000  0.000
Cr  0.500  0.500  0.000
S  0.042  0.750  0.355
S  0.179  0.558  0.834
S  0.179  0.942  0.834
S  0.321  0.058  0.334
S  0.321  0.442  0.334
S  0.458  0.250  0.855
S  0.542  0.750  0.145
S  0.679  0.558  0.666
S  0.679  0.942  0.666
S  0.821  0.058  0.166
S  0.821  0.442  0.166
S  0.958  0.250  0.645



# 3
Here is a relaxed SrErO3 crystal from Materials Project. Energies are from PBE-GGA.

Computed properties:
total energy: -6.892 eV/atom
energy with MP2020 corrections: -36.522 eV per cell
calculated density: 6.2 g/cm3

abc: 4.335 4.335 4.335
angles: 90.00 90.00 90.00
Sites, in units of the cell vectors:
Sr  0.000  0.000  0.000
Er  0.500  0.500  0.500
O  0.000  0.500  0.500
O  0.500  0.000  0.500
O  0.500  0.500  0.000



# 4
Here is a relaxed MnSn crystal from Materials Project. Energies are from PBE-GGA.

Computed properties:
total energy: -6.276 eV/atom
calculated density: 7.8 g/cm3

abc: 3.325 3.325 3.325
angles: 90.00 90.00 90.00
Sites, in units of the cell vectors:
Mn  0.000  0.000  0.000
Sn  0.500  0.500  0.500



# 5
Here is a relaxed Ce6S4BrN3 crystal from Materials Project. Energies are from PBE-GGA.

Computed properties:
total energy: -7.464 eV/atom
energy with MP2020 corrections: -430.341 eV per cell
calculated density: 5.9 g/cm3

abc: 11.399 3.983 27.145
angles: 90.00 90.00 90.00
Sites, in units of the cell vectors:
Ce  0.057  0.250  0.077
Ce  0.059  0.250  0.809
Ce  0.102  0.250  0.536
Ce  0.127  0.250  0.283
Ce  0.245  0.750  0.435
Ce  0.246  0.750  0.173
Ce  0.254  0.250  0.673
Ce  0.255  0.250  0.935
Ce  0.373  0.750  0.783
Ce  0.398  0.750  0.036
Ce  0.441  0.750  0.309
Ce  0.443  0.750  0.577
Ce  0.557  0.250  0.423
Ce  0.559  0.250  0.691
Ce  0.602  0.250  0.964
Ce  0.627  0.250  0.217
Ce  0.745  0.750  0.065
Ce  0.746  0.750  0.327
Ce  0.754  0.250  0.827
Ce  0.755  0.250  0.565
Ce  0.873  0.750  0.717
Ce  0.898  0.750  0.464
Ce  0.941  0.750  0.191
Ce  0.943  0.750  0.923
S  0.137  0.750  0.736
S  0.146  0.750  0.997
S  0.186  0.750  0.864
S  0.205  0.750  0.601
S  0.295  0.250  0.101
S  0.314  0.250  0.364
S  0.354  0.250  0.497
S  0.363  0.250  0.236
S  0.637  0.750  0.764
S  0.646  0.750  0.503
S  0.686  0.750  0.636
S  0.705  0.750  0.899
S  0.795  0.250  0.399
S  0.814  0.250  0.136
S  0.854  0.250  0.003
S  0.863  0.250  0.264
Br  0.037  0.750  0.363
Br  0.463  0.250  0.863
Br  0.537  0.750  0.137
Br  0.963  0.250  0.637
N  0.065  0.750  0.126
N  0.095  0.750  0.487
N  0.113  0.750  0.237
N  0.387  0.250  0.737
N  0.405  0.250  0.987
N  0.435  0.250  0.626
N  0.565  0.750  0.374
N  0.595  0.750  0.013
N  0.613  0.750  0.263
N  0.887  0.250  0.763
N  0.905  0.250  0.513
N  0.935  0.250  0.874



# 6
Here is a relaxed Li7PN4 crystal from Materials Project. Energies are from PBE-GGA.

Computed properties:
total energy: -5.058 eV/atom
energy with MP2020 corrections: -497.096 eV per cell
calculated density: 2.2 g/cm3

abc: 9.402 9.402 9.402
angles: 90.00 90.00 90.00
Sites, in units of the cell vectors:
Li  0.000  0.000  0.264
Li  0.000  0.000  0.500
Li  0.000  0.000  0.736
Li  0.000  0.250  0.500
Li  0.000  0.264  0.000
Li  0.000  0.500  0.000
Li  0.000  0.500  0.500
Li  0.000  0.736  0.000
Li  0.000  0.750  0.500
Li  0.025  0.237  0.747
Li  0.025  0.763  0.253
Li  0.225  0.225  0.225
Li  0.225  0.775  0.775
Li  0.236  0.500  0.500
Li  0.237  0.253  0.975
Li  0.237  0.747  0.025
Li  0.247  0.263  0.475
Li  0.247  0.737  0.525
Li  0.250  0.500  0.000
Li  0.253  0.025  0.763
Li  0.253  0.975  0.237
Li  0.263  0.475  0.247
Li  0.263  0.525  0.753
Li  0.264  0.000  0.000
Li  0.275  0.275  0.725
Li  0.275  0.725  0.275
Li  0.475  0.247  0.263
Li  0.475  0.753  0.737
Li  0.500  0.000  0.000
Li  0.500  0.000  0.250
Li  0.500  0.000  0.500
Li  0.500  0.000  0.750
Li  0.500  0.236  0.500
Li  0.500  0.500  0.000
Li  0.500  0.500  0.236
Li  0.500  0.500  0.764
Li  0.500  0.764  0.500
Li  0.525  0.247  0.737
Li  0.525  0.753  0.263
Li  0.725  0.275  0.275
Li  0.725  0.725  0.725
Li  0.736  0.000  0.000
Li  0.737  0.475  0.753
Li  0.737  0.525  0.247
Li  0.747  0.025  0.237
Li  0.747  0.975  0.763
Li  0.750  0.500  0.000
Li  0.753  0.263  0.525
Li  0.753  0.737  0.475
Li  0.763  0.253  0.025
Li  0.763  0.747  0.975
Li  0.764  0.500  0.500
Li  0.775  0.225  0.775
Li  0.775  0.775  0.225
Li  0.975  0.237  0.253
Li  0.975  0.763  0.747
P  0.000  0.000  0.000
P  0.000  0.500  0.250
P  0.000  0.500  0.750
P  0.250  0.000  0.500
P  0.500  0.250  0.000
P  0.500  0.500  0.500
P  0.500  0.750  0.000
P  0.750  0.000  0.500
N  0.099  0.387  0.351
N  0.099  0.613  0.649
N  0.103  0.103  0.103
N  0.103  0.897  0.897
N  0.113  0.401  0.851
N  0.113  0.599  0.149
N  0.149  0.113  0.599
N  0.149  0.887  0.401
N  0.351  0.099  0.387
N  0.351  0.901  0.613
N  0.387  0.351  0.099
N  0.387  0.649  0.901
N  0.397  0.397  0.603
N  0.397  0.603  0.397
N  0.401  0.149  0.887
N  0.401  0.851  0.113
N  0.599  0.149  0.113
N  0.599  0.851  0.887
N  0.603  0.397  0.397
N  0.603  0.603  0.603
N  0.613  0.351  0.901
N  0.613  0.649  0.099
N  0.649  0.099  0.613
N  0.649  0.901  0.387
N  0.851  0.113  0.401
N  0.851  0.887  0.599
N  0.887  0.401  0.149
N  0.887  0.599  0.851
N  0.897  0.103  0.897
N  0.897  0.897  0.103
N  0.901  0.387  0.649
N  0.901  0.613  0.351



# 7
Here is a relaxed In6Se7 crystal from Materials Project. Energies are from PBE-GGA.

Computed properties:
total energy: -3.624 eV/atom
energy with MP2020 corrections: -100.820 eV per cell
calculated density: 5.9 g/cm3

abc: 9.620 4.134 18.028
angles: 90.00 100.91 90.00
Sites, in units of the cell vectors:
In  0.016  0.000  0.104
In  0.069  0.001  0.624
In  0.181  0.502  0.313
In  0.328  0.996  0.966
In  0.353  0.502  0.547
In  0.474  0.990  0.772
In  0.526  0.490  0.228
In  0.647  0.002  0.453
In  0.672  0.496  0.034
In  0.819  0.002  0.687
In  0.931  0.501  0.376
In  0.984  0.500  0.896
Se  0.121  0.998  0.842
Se  0.164  0.000  0.494
Se  0.169  0.489  0.032
Se  0.241  0.001  0.227
Se  0.246  0.501  0.680
Se  0.444  0.503  0.408
Se  0.470  0.494  0.907
Se  0.530  0.994  0.093
Se  0.556  0.003  0.592
Se  0.754  0.001  0.320
Se  0.759  0.501  0.773
Se  0.831  0.989  0.968
Se  0.836  0.500  0.506
Se  0.879  0.498  0.158



# 8
Here is a relaxed Tm2Ti2O7 crystal from Materials Project. Energies are from PBE-GGA.

Computed properties:
total energy: -8.747 eV/atom
energy with MP2020 corrections: -202.059 eV per cell
calculated density: 7.1 g/cm3

abc: 7.131 7.131 7.131
angles: 60.00 60.00 60.00
Sites, in units of the cell vectors:
Tm  0.000  0.000  0.000
Tm  0.000  0.000  0.500
Tm  0.000  0.500  0.000
Tm  0.500  0.000  0.000
Ti  0.000  0.500  0.500
Ti  0.500  0.000  0.500
Ti  0.500  0.500  0.000
Ti  0.500  0.500  0.500
O  0.125  0.125  0.125
O  0.168  0.168  0.582
O  0.168  0.582  0.168
O  0.168  0.582  0.582
O  0.418  0.418  0.832
O  0.418  0.832  0.418
O  0.418  0.832  0.832
O  0.582  0.168  0.168
O  0.582  0.168  0.582
O  0.582  0.582  0.168
O  0.832  0.418  0.418
O  0.832  0.418  0.832
O  0.832  0.832  0.418
O  0.875  0.875  0.875



# 9
Here is a relaxed MnAlFe2 crystal from Materials Project. Energies are from PBE-GGA.

Computed properties:
total energy: -7.596 eV/atom
calculated density: 6.5 g/cm3

abc: 4.113 4.113 4.113
angles: 60.00 60.00 60.00
Sites, in units of the cell vectors:
Mn  0.000  0.000  0.000
Al  0.750  0.750  0.750
Fe  0.250  0.250  0.250
Fe  0.500  0.500  0.500



# 10
Here is a relaxed Ce6Ni6P17 crystal from Materials Project. Energies are from PBE-GGA.

Computed properties:
total energy: -6.456 eV/atom
calculated density: 5.7 g/cm3

abc: 8.664 8.664 8.664
angles: 109.47 109.47 109.47
Sites, in units of the cell vectors:
Ce  0.000  0.290  0.290
Ce  0.000  0.710  0.710
Ce  0.290  0.000  0.290
Ce  0.290  0.290  0.000
Ce  0.710  0.000  0.710
Ce  0.710  0.710  0.000
Ni  0.250  0.500  0.750
Ni  0.250  0.750  0.500
Ni  0.500  0.250  0.750
Ni  0.500  0.750  0.250
Ni  0.750  0.250  0.500
Ni  0.750  0.500  0.250
P  0.000  0.000  0.000
P  0.000  0.000  0.421
P  0.000  0.231  0.634
P  0.000  0.421  0.000
P  0.000  0.634  0.231
P  0.231  0.000  0.634
P  0.231  0.634  0.000
P  0.366  0.366  0.597
P  0.366  0.597  0.366
P  0.403  0.769  0.769
P  0.421  0.000  0.000
P  0.579  0.579  0.579
P  0.597  0.366  0.366
P  0.634  0.000  0.231
P  0.634  0.231  0.000
P  0.769  0.403  0.769
P  0.769  0.769  0.403



# 11
Here is a relaxed PrAsSe crystal from Materials Project. Energies are from PBE-GGA.

Computed properties:
total energy: -5.765 eV/atom
energy with MP2020 corrections: -71.070 eV per cell
calculated density: 6.5 g/cm3

abc: 18.241 4.022 4.107
angles: 90.00 90.00 90.00
Sites, in units of the cell vectors:
Pr  0.140  0.250  0.228
Pr  0.360  0.750  0.728
Pr  0.640  0.250  0.272
Pr  0.860  0.750  0.772
As  0.003  0.250  0.699
As  0.497  0.750  0.199
As  0.503  0.250  0.801
As  0.997  0.750  0.301
Se  0.187  0.750  0.730
Se  0.313  0.250  0.230
Se  0.687  0.750  0.770
Se  0.813  0.250  0.270



# 12
Here is a relaxed B crystal from Materials Project. Energies are from PBE-GGA.

Computed properties:
total energy: -6.465 eV/atom
energy relative to the lowest polymorph listed for this composition: 215 meV per atom
calculated density: 2.2 g/cm3

abc: 7.293 7.293 7.293
angles: 90.00 90.00 90.00
Sites, in units of the cell vectors:
B  0.000  0.124  0.198
B  0.000  0.124  0.802
B  0.000  0.282  0.369
B  0.000  0.282  0.631
B  0.000  0.718  0.369
B  0.000  0.718  0.631
B  0.000  0.876  0.198
B  0.000  0.876  0.802
B  0.124  0.198  0.000
B  0.124  0.802  0.000
B  0.141  0.500  0.359
B  0.141  0.500  0.641
B  0.194  0.306  0.500
B  0.194  0.694  0.500
B  0.198  0.000  0.124
B  0.198  0.000  0.876
B  0.282  0.369  0.000
B  0.282  0.631  0.000
B  0.306  0.500  0.194
B  0.306  0.500  0.806
B  0.359  0.141  0.500
B  0.359  0.859  0.500
B  0.369  0.000  0.282
B  0.369  0.000  0.718
B  0.500  0.194  0.306
B  0.500  0.194  0.694
B  0.500  0.359  0.141
B  0.500  0.359  0.859
B  0.500  0.641  0.141
B  0.500  0.641  0.859
B  0.500  0.806  0.306
B  0.500  0.806  0.694
B  0.631  0.000  0.282
B  0.631  0.000  0.718
B  0.641  0.141  0.500
B  0.641  0.859  0.500
B  0.694  0.500  0.194
B  0.694  0.500  0.806
B  0.718  0.369  0.000
B  0.718  0.631  0.000
B  0.802  0.000  0.124
B  0.802  0.000  0.876
B  0.806  0.306  0.500
B  0.806  0.694  0.500
B  0.859  0.500  0.359
B  0.859  0.500  0.641
B  0.876  0.198  0.000
B  0.876  0.802  0.000